# BaCaDySbO6

A relaxed BaCaDySbO6 crystal (PBE, the Materials Project).

## Properties
- DFT formation energy (eV/atom) = -3.01
- size of the total moment (μB/f.u.) = 0.0

The structure in POSCAR format:
```
BaCaDySbO6
1.0
0.000 -4.206 -4.206
4.206 0.000 -4.206
4.206 -4.206 0.000
Ba Ca Dy Sb O
1 1 1 1 6
Direct
0.250 0.250 0.250
0.750 0.750 0.750
0.000 0.000 0.000
0.500 0.500 0.500
0.738 0.262 0.262
0.262 0.738 0.738
0.738 0.262 0.738
0.262 0.738 0.262
0.738 0.738 0.262
0.262 0.262 0.738
```